Te2SO4F6, relaxed, DFT PBE; space-group type = No. 19; spin magnetization = 0.0 μB per formula unit
1.0
9.060 0.000 0.000
0.000 9.083 0.000
0.000 0.000 10.148
Te S O F
8 4 16 24
direct
0.043 0.142 0.045
0.054 0.665 0.916
0.446 0.335 0.416
0.457 0.858 0.545
0.543 0.358 0.955
0.554 0.835 0.084
0.946 0.165 0.584
0.957 0.642 0.455
0.168 0.451 0.208
0.332 0.549 0.708
0.668 0.049 0.792
0.832 0.951 0.292
0.050 0.340 0.174
0.137 0.512 0.342
0.171 0.570 0.108
0.184 0.621 0.713
0.316 0.379 0.213
0.329 0.430 0.608
0.363 0.488 0.842
0.450 0.660 0.674
0.550 0.160 0.826
0.637 0.988 0.658
0.671 0.930 0.892
0.684 0.879 0.287
0.816 0.121 0.787
0.829 0.070 0.392
0.863 0.012 0.158
0.950 0.840 0.326
0.001 0.967 0.607
0.074 0.954 0.952
0.082 0.220 0.717
0.108 0.188 0.465
0.159 0.061 0.180
0.224 0.208 0.967
0.276 0.792 0.467
0.341 0.939 0.680
0.392 0.812 0.965
0.418 0.780 0.217
0.426 0.046 0.452
0.499 0.033 0.107
0.501 0.533 0.393
0.574 0.546 0.048
0.582 0.280 0.283
0.608 0.312 0.535
0.659 0.439 0.820
0.724 0.292 0.033
0.776 0.708 0.533
0.841 0.561 0.320
0.892 0.688 0.035
0.918 0.720 0.783
0.926 0.454 0.548
0.999 0.467 0.893

Ca2Tl3Pb3, relaxed, DFT PBE; space-group type = No. 47
1.0
4.897 0.000 0.000
0.000 4.904 0.000
0.000 0.000 9.890
Ca Tl Pb
2 3 3
direct
0.000 0.000 0.249
0.000 0.000 0.751
0.000 0.500 0.000
0.000 0.500 0.500
0.500 0.000 0.000
0.500 0.000 0.500
0.500 0.500 0.248
0.500 0.500 0.752

Nd3S3N, relaxed, DFT PBE; space-group type = No. 62
1.0
12.257 0.000 0.000
0.000 4.036 0.000
0.000 0.000 13.174
Nd S N
12 12 4
direct
0.040 0.250 0.149
0.083 0.250 0.628
0.222 0.250 0.866
0.278 0.750 0.366
0.417 0.750 0.128
0.460 0.750 0.649
0.540 0.250 0.351
0.583 0.250 0.872
0.722 0.250 0.634
0.778 0.750 0.134
0.917 0.750 0.372
0.960 0.750 0.851
0.081 0.250 0.393
0.139 0.750 0.996
0.231 0.750 0.698
0.269 0.250 0.198
0.361 0.250 0.496
0.419 0.750 0.893
0.581 0.250 0.107
0.639 0.750 0.504
0.731 0.750 0.802
0.769 0.250 0.302
0.861 0.250 0.004
0.919 0.750 0.607
0.046 0.250 0.798
0.454 0.750 0.298
0.546 0.250 0.702
0.954 0.750 0.202

Number 1: raw total energy -4.921 eV/atom. Number 2: raw total energy -3.070 eV/atom. Number 3: raw total energy -6.916 eV/atom.